Density functional theory data (GGA-PBE) for a relaxed Rb4HfS4O17 crystal.

Cell lengths 9.826, 12.726, 15.254 Å; angles 90.00, 90.00, 90.00 degrees
Space group P2_12_12_1 (No. 19)
Inequivalent atoms, fractional coordinates:
1 Rb 0.003 0.030 0.235 [4 per cell]
2 Rb 0.101 0.739 0.707 [4 per cell]
3 Rb 0.189 0.984 0.926 [4 per cell]
4 Rb 0.192 0.452 0.956 [4 per cell]
5 Hf 0.249 0.757 0.124 [4 per cell]
6 S 0.098 0.272 0.413 [4 per cell]
7 S 0.159 0.032 0.649 [4 per cell]
8 S 0.164 0.452 0.665 [4 per cell]
9 S 0.166 0.779 0.349 [4 per cell]
10 O 0.052 0.753 0.068 [4 per cell]
11 O 0.086 0.347 0.669 [4 per cell]
12 O 0.087 0.138 0.665 [4 per cell]
13 O 0.088 0.968 0.585 [4 per cell]
14 O 0.094 0.688 0.385 [4 per cell]
15 O 0.094 0.878 0.363 [4 per cell]
16 O 0.095 0.527 0.607 [4 per cell]
17 O 0.122 0.383 0.394 [4 per cell]
18 O 0.146 0.200 0.345 [4 per cell]
19 O 0.171 0.244 0.498 [4 per cell]
20 O 0.173 0.761 0.248 [4 per cell]
21 O 0.185 0.233 0.056 [4 per cell]
22 O 0.185 0.977 0.732 [4 per cell]
23 O 0.190 0.217 0.879 [4 per cell]
24 O 0.191 0.494 0.752 [4 per cell]
25 O 0.204 0.588 0.122 [4 per cell]
26 O 0.206 0.925 0.111 [4 per cell]

**Uncorrected energy**: -6.1491 eV per atom
**Energy of formation**: -2.193 eV per atom